(1)
Material: Li2TiFe2O5
Method: DFT, PBE with a Hubbard U
State: relaxed

Results
E (MP2020): -153.67 eV for the cell shown
total DFT energy (no corrections): -137.78 eV per cell
DFT formation energy: -2.344 eV/atom
calculated volume: 193 Å³ per cell

Cell lengths 5.299, 5.303, 7.861 Å; angles 82.22, 70.80, 67.63 degrees
Space group P1 (No. 1)
Unique sites:
Li 0.000 0.000 0.000 x1
Li 0.083 0.488 0.805 x1
Li 0.387 0.988 0.198 x1
Li 0.692 0.503 0.604 x1
Ti 0.177 0.985 0.613 x1
Ti 0.481 0.483 0.003 x1
Fe 0.293 0.488 0.402 x1
Fe 0.593 0.992 0.809 x1
Fe 0.794 0.988 0.391 x1
Fe 0.883 0.497 0.204 x1
O 0.039 0.244 0.412 x1
O 0.147 0.738 0.187 x1
O 0.258 0.271 0.001 x1
O 0.331 0.745 0.802 x1
O 0.427 0.199 0.601 x1
O 0.508 0.749 0.418 x1
O 0.640 0.248 0.183 x1
O 0.707 0.715 0.003 x1
O 0.841 0.243 0.799 x1
O 0.963 0.760 0.604 x1

(2)
Material: Li3Ti2Fe3O10
Method: DFT, PBE with a Hubbard U
State: relaxed

Results
E (MP2020): -140.17 eV for the cell shown
total DFT energy (no corrections): -126.53 eV per cell
DFT formation energy: -2.431 eV/atom
calculated volume: 191 Å³ per cell

Cell lengths 5.150, 5.209, 7.837 Å; angles 73.47, 73.52, 78.14 degrees
Space group P-1 (No. 2)
Unique sites:
Li 0.000 0.000 0.000 x1
Li 0.483 0.713 0.107 x2
Ti 0.019 0.384 0.188 x2
Fe 0.031 0.188 0.602 x2
Fe 0.500 0.500 0.500 x1
O 0.195 0.040 0.167 x2
O 0.213 0.821 0.561 x2
O 0.217 0.606 0.975 x2
O 0.231 0.459 0.357 x2
O 0.256 0.299 0.729 x2

(3)
Material: Li4Ti3Fe3O12
Method: DFT, PBE with a Hubbard U
State: relaxed

Results
E (MP2020): -172.12 eV for the cell shown
total DFT energy (no corrections): -157.11 eV per cell
DFT formation energy: -2.546 eV/atom
calculated volume: 231 Å³ per cell

Cell lengths 6.014, 6.045, 6.704 Å; angles 103.35, 102.48, 91.10 degrees
Space group P-1 (No. 2)
Unique sites:
Li 0.000 0.000 0.000 x1
Li 0.174 0.665 0.665 x2
Li 0.500 0.000 0.000 x1
Ti 0.172 0.174 0.648 x2
Ti 0.500 0.500 0.000 x1
Fe 0.000 0.500 0.000 x1
Fe 0.336 0.823 0.338 x2
O 0.065 0.605 0.323 x2
O 0.071 0.065 0.347 x2
O 0.248 0.267 0.978 x2
O 0.260 0.730 0.007 x2
O 0.400 0.949 0.662 x2
O 0.410 0.409 0.690 x2

(4)
Material: Li4Ti2V3Fe3O16
Method: DFT, PBE with a Hubbard U
State: relaxed

Results
E (MP2020): -224.25 eV for the cell shown
total DFT energy (no corrections): -201.39 eV per cell
DFT formation energy: -2.464 eV/atom
calculated volume: 293 Å³ per cell

Cell lengths 5.931, 5.933, 9.602 Å; angles 89.30, 89.24, 60.21 degrees
Space group P1 (No. 1)
Unique sites:
Li 0.000 0.000 0.000 x1
Li 0.000 0.001 0.496 x1
Li 0.336 0.337 0.402 x1
Li 0.667 0.670 0.903 x1
Ti 0.343 0.341 0.005 x1
Ti 0.664 0.663 0.487 x1
V 0.164 0.660 0.720 x1
V 0.658 0.169 0.721 x1
V 0.830 0.831 0.223 x1
Fe 0.171 0.168 0.713 x1
Fe 0.344 0.835 0.218 x1
Fe 0.835 0.344 0.218 x1
O 0.002 0.003 0.308 x1
O 0.042 0.495 0.838 x1
O 0.172 0.173 0.093 x1
O 0.173 0.662 0.098 x1
O 0.330 0.824 0.604 x1
O 0.341 0.339 0.607 x1
O 0.483 0.482 0.843 x1
O 0.491 0.046 0.840 x1
O 0.522 0.523 0.352 x1
O 0.522 0.962 0.356 x1
O 0.661 0.174 0.099 x1
O 0.672 0.673 0.109 x1
O 0.826 0.330 0.604 x1
O 0.834 0.838 0.607 x1
O 0.962 0.523 0.356 x1
O 0.999 0.001 0.813 x1

(5)
Material: Li4Ti3V2Fe4O18
Method: DFT, PBE with a Hubbard U
State: relaxed

Results
E (MP2020): -496.46 eV for the cell shown
total DFT energy (no corrections): -446.88 eV per cell
DFT formation energy: -2.445 eV/atom
calculated volume: 692 Å³ per cell

Cell lengths 2.955, 9.178, 25.509 Å; angles 90.00, 90.00, 90.00 degrees
Space group Pmc2_1 (No. 26)
Unique sites:
Li 0.000 0.050 0.000 x2
Li 0.000 0.052 0.194 x2
Li 0.000 0.438 0.822 x2
Li 0.000 0.444 0.020 x2
Ti 0.000 0.244 0.911 x2
Ti 0.000 0.249 0.110 x2
Ti 0.500 0.404 0.201 x2
V 0.000 0.252 0.511 x2
V 0.500 0.096 0.820 x2
Fe 0.000 0.247 0.317 x2
Fe 0.000 0.254 0.707 x2
Fe 0.500 0.104 0.598 x2
Fe 0.500 0.403 0.424 x2
O 0.000 0.047 0.095 x2
O 0.000 0.062 0.870 x2
O 0.000 0.155 0.774 x2
O 0.000 0.247 0.585 x2
O 0.000 0.257 0.436 x2
O 0.000 0.345 0.249 x2
O 0.000 0.436 0.152 x2
O 0.000 0.448 0.927 x2
O 0.500 0.103 0.302 x2
O 0.500 0.103 0.515 x2
O 0.500 0.127 0.677 x2
O 0.500 0.188 0.954 x2
O 0.500 0.204 0.166 x2
O 0.500 0.291 0.854 x2
O 0.500 0.309 0.067 x2
O 0.500 0.373 0.345 x2
O 0.500 0.394 0.722 x2
O 0.500 0.401 0.507 x2

(6)
Material: Li4Ti3Fe3W2O16
Method: DFT, PBE with a Hubbard U
State: relaxed

Results
E (MP2020): -231.58 eV for the cell shown
total DFT energy (no corrections): -204.94 eV per cell
DFT formation energy: -2.491 eV/atom
calculated volume: 311 Å³ per cell

Cell lengths 5.980, 6.059, 9.834 Å; angles 88.34, 90.00, 60.67 degrees
Space group P1 (No. 1)
Unique sites:
Li 0.000 0.000 0.000 x1
Li 0.012 0.984 0.510 x1
Li 0.331 0.336 0.426 x1
Li 0.667 0.677 0.918 x1
Ti 0.173 0.652 0.738 x1
Ti 0.348 0.808 0.234 x1
Ti 0.844 0.819 0.229 x1
Fe 0.181 0.161 0.726 x1
Fe 0.662 0.156 0.725 x1
Fe 0.829 0.337 0.226 x1
W 0.341 0.317 0.000 x1
W 0.676 0.654 0.506 x1
O 0.012 0.975 0.816 x1
O 0.016 0.977 0.320 x1
O 0.036 0.498 0.866 x1
O 0.171 0.666 0.122 x1
O 0.182 0.161 0.110 x1
O 0.322 0.365 0.624 x1
O 0.350 0.811 0.611 x1
O 0.465 0.498 0.876 x1
O 0.480 0.038 0.873 x1
O 0.501 0.534 0.358 x1
O 0.527 0.949 0.357 x1
O 0.653 0.699 0.124 x1
O 0.678 0.147 0.113 x1
O 0.833 0.334 0.589 x1
O 0.846 0.813 0.608 x1
O 0.963 0.534 0.354 x1

(7)
Material: Li4V3FeO10
Method: DFT, PBE with a Hubbard U
State: relaxed

Results
E (MP2020): -134.56 eV for the cell shown
total DFT energy (no corrections): -120.33 eV per cell
DFT formation energy: -2.318 eV/atom
calculated volume: 209 Å³ per cell

Cell lengths 6.696, 6.696, 4.654 Å; angles 90.00, 90.00, 90.00 degrees
Space group P-4m2 (No. 115)
Unique sites:
Li 0.239 0.239 0.000 x4
V 0.000 0.500 0.395 x2
V 0.500 0.500 0.500 x1
Fe 0.000 0.000 0.500 x1
O 0.000 0.229 0.257 x4
O 0.000 0.500 0.758 x2
O 0.292 0.500 0.274 x4

(8)
Material: Li3V3FeO8
Method: DFT, PBE with a Hubbard U
State: relaxed

Results
E (MP2020): -115.43 eV for the cell shown
total DFT energy (no corrections): -102.57 eV per cell
DFT formation energy: -2.293 eV/atom
calculated volume: 147 Å³ per cell

Cell lengths 5.852, 5.860, 5.957 Å; angles 119.34, 90.75, 118.96 degrees
Space group P-1 (No. 2)
Unique sites:
Li 0.000 0.000 0.000 x1
Li 0.000 0.500 0.000 x1
Li 0.500 0.000 0.000 x1
V 0.000 0.000 0.500 x1
V 0.500 0.000 0.500 x1
V 0.500 0.500 0.500 x1
Fe 0.000 0.500 0.500 x1
O 0.235 0.964 0.713 x2
O 0.239 0.483 0.716 x2
O 0.255 0.506 0.283 x2
O 0.263 0.023 0.270 x2

(9)
Material: Li2V3FeO8
Method: DFT, PBE with a Hubbard U
State: relaxed

Results
E (MP2020): -445.25 eV for the cell shown
total DFT energy (no corrections): -393.84 eV per cell
DFT formation energy: -2.299 eV/atom
calculated volume: 563 Å³ per cell

Cell lengths 5.780, 9.987, 9.761 Å; angles 90.00, 90.13, 90.00 degrees
Space group Cc (No. 9)
Unique sites:
Li 0.000 0.001 0.000 x4
Li 0.000 0.333 0.101 x4
V 0.000 0.177 0.779 x4
V 0.236 0.414 0.779 x4
V 0.265 0.087 0.282 x4
Fe 0.001 0.332 0.497 x4
O 0.000 0.484 0.659 x4
O 0.001 0.001 0.686 x4
O 0.002 0.162 0.387 x4
O 0.004 0.333 0.901 x4
O 0.225 0.258 0.659 x4
O 0.245 0.081 0.888 x4
O 0.258 0.418 0.387 x4
O 0.276 0.241 0.160 x4

(10)
Material: Li2VFeO4
Method: DFT, PBE with a Hubbard U
State: relaxed

Results
E (MP2020): -116.45 eV for the cell shown
total DFT energy (no corrections): -103.05 eV per cell
DFT formation energy: -2.133 eV/atom
calculated volume: 148 Å³ per cell

Cell lengths 4.122, 4.122, 8.718 Å; angles 90.00, 90.00, 90.00 degrees
Space group I-4m2 (No. 119)
Unique sites:
Li 0.000 0.000 0.000 x2
Li 0.000 0.500 0.250 x2
V 0.000 0.000 0.500 x2
Fe 0.000 0.500 0.750 x2
O 0.000 0.000 0.270 x4
O 0.000 0.500 0.513 x4

(11)
Material: Li3V3Fe2O10
Method: DFT, PBE with a Hubbard U
State: relaxed

Results
E (MP2020): -138.82 eV for the cell shown
total DFT energy (no corrections): -122.34 eV per cell
DFT formation energy: -2.190 eV/atom
calculated volume: 192 Å³ per cell

Cell lengths 5.135, 5.220, 7.963 Å; angles 72.04, 72.16, 78.59 degrees
Space group P-1 (No. 2)
Unique sites:
Li 0.000 0.000 0.000 x1
Li 0.311 0.518 0.907 x2
V 0.187 0.003 0.613 x2
V 0.500 0.500 0.500 x1
Fe 0.399 0.996 0.188 x2
O 0.016 0.194 0.179 x2
O 0.168 0.788 0.448 x2
O 0.285 0.253 0.722 x2
O 0.384 0.776 0.029 x2
O 0.458 0.217 0.368 x2

(12)
Material: Li2V3FeO8
Method: DFT, PBE with a Hubbard U
State: relaxed

Results
E (MP2020): -333.98 eV for the cell shown
total DFT energy (no corrections): -295.42 eV per cell
DFT formation energy: -2.300 eV/atom
calculated volume: 446 Å³ per cell

Cell lengths 5.9406, 5.9406, 14.5870 Å; angles 90.00, 90.00, 120.00 degrees
Space group R3m (No. 160, hexagonal axes)
Unique sites:
Li 0.0000 0.0000 0.0000 x3
Li 0.0000 0.0000 0.3796 x3
V 0.0123 0.5061 0.8811 x9
Fe 0.0000 0.0000 0.7589 x3
O 0.0000 0.0000 0.1371 x3
O 0.0000 0.0000 0.6243 x3
O 0.0165 0.5082 0.1373 x9
O 0.1782 0.3564 0.9502 x9

(13)
Material: Li4VFe3O8
Method: DFT, PBE with a Hubbard U
State: relaxed

Results
E (MP2020): -113.06 eV for the cell shown
total DFT energy (no corrections): -99.10 eV per cell
DFT formation energy: -1.959 eV/atom
calculated volume: 152 Å³ per cell

Cell lengths 5.966, 5.967, 5.993 Å; angles 119.68, 90.22, 119.87 degrees
Space group P1 (No. 1)
Unique sites:
Li 0.000 0.000 0.000 x1
Li 0.000 0.498 0.003 x1
Li 0.500 0.994 0.002 x1
Li 0.501 0.493 0.002 x1
V 0.000 0.494 0.502 x1
Fe 0.000 0.994 0.501 x1
Fe 0.499 0.992 0.502 x1
Fe 0.501 0.494 0.501 x1
O 0.218 0.469 0.271 x1
O 0.218 0.966 0.272 x1
O 0.283 0.019 0.732 x1
O 0.291 0.525 0.727 x1
O 0.710 0.462 0.276 x1
O 0.717 0.968 0.271 x1
O 0.782 0.518 0.732 x1
O 0.783 0.021 0.731 x1